Here is a geometry-optimized SmInNi structure from the Materials Project database. Energies are from GGA-PBE.

Output
crystal system	orthorhombic
symmetry	Amm2

Cell: 7.9161 7.9161 3.6598 Å, 90.00 90.00 119.38°
Element x y z (fractional)
Sm1 0.3373 0.3373 0.5000
Ni1 0.9981 0.9981 0.0000
In1 0.6689 0.6689 0.0000
Ni2 0.6651 0.3315 0.0000
Ni3 0.3315 0.6651 0.0000
Sm2 0.6655 0.0017 0.5000
Sm3 0.0017 0.6655 0.5000
In2 0.3315 0.0003 0.0000
In3 0.0003 0.3315 0.0000

Here is a geometry-optimized BaSrSi4 structure from the Materials Project database. Energies are from GGA-PBE.

Output
crystal system	orthorhombic
ΔE to the lowest computed polymorph	0	meV per atom
symmetry	C222_1

Cell: 6.6626 6.6626 6.6707 Å, 90.00 90.00 90.65°
Element x y z (fractional)
Sr1 0.6245 0.6245 0.5000
Si1 0.4221 0.1763 0.4531
Si2 0.9176 0.3370 0.7909
Ba1 0.8745 0.1255 0.2500
Si3 0.3370 0.9176 0.2091
Sr2 0.3755 0.3755 0.0000
Si4 0.8237 0.5779 0.0469
Ba2 0.1255 0.8745 0.7500
Si5 0.0824 0.6630 0.2909
Si6 0.1763 0.4221 0.5469
Si7 0.5779 0.8237 0.9531
Si8 0.6630 0.0824 0.7091

Here is a geometry-optimized MgF2 structure from the Materials Project database. Energies are from GGA-PBE.

Output
crystal system	monoclinic
symmetry	C2/m

Cell: 5.5879 5.5879 6.7636 Å, 54.05 54.05 41.27°
Element x y z (fractional)
F1 0.0000 0.0000 0.5000
F2 0.0000 0.0000 0.0000
Mg1 0.8954 0.8954 0.8491
F3 0.3512 0.3512 0.8959
F4 0.6488 0.6488 0.1041
Mg2 0.1046 0.1046 0.1509

Values of energy of formation from the pure elements, in order: -1.0; -1.8; -11.2, all in eV per formula unit.
Values of density, in order: 8074; 3783; 1907, all in kg/m3.